Record 1
Below is crystalline SrMg14Ti at its relaxed geometry, with properties calculated at the PBE level.

Summary:
- Symmetry: P-6m2, No. 187
- ΔE to the lowest computed polymorph: 0.0 meV/atom

Cell lengths 6.563, 6.563, 10.326 Å; angles 90.00, 90.00, 120.00 degrees
Sites, in units of the cell vectors:
Sr: 0.000 0.000 0.000
Mg: 0.000 0.500 0.500
Mg: 0.010 0.505 0.000
Mg: 0.168 0.336 0.264
Mg: 0.168 0.336 0.736
Mg: 0.168 0.832 0.264
Mg: 0.168 0.832 0.736
Mg: 0.495 0.505 0.000
Mg: 0.495 0.990 0.000
Mg: 0.500 0.000 0.500
Mg: 0.500 0.500 0.500
Mg: 0.664 0.832 0.264
Mg: 0.664 0.832 0.736
Mg: 0.667 0.333 0.245
Mg: 0.667 0.333 0.755
Ti: 0.000 0.000 0.500

Record 2
Below is crystalline Li14Co2S9 at its relaxed geometry, with properties calculated at the PBE level.

Summary:
- Symmetry: P-3, No. 147

Cell lengths 6.986, 6.986, 9.802 Å; angles 90.00, 90.00, 120.00 degrees
Sites, in units of the cell vectors:
Li: 0.000 0.000 0.250
Li: 0.000 0.000 0.750
Li: 0.019 0.672 0.410
Li: 0.042 0.366 0.092
Li: 0.324 0.958 0.092
Li: 0.328 0.347 0.410
Li: 0.347 0.019 0.590
Li: 0.366 0.324 0.908
Li: 0.634 0.676 0.092
Li: 0.653 0.981 0.410
Li: 0.672 0.653 0.590
Li: 0.676 0.042 0.908
Li: 0.958 0.634 0.908
Li: 0.981 0.328 0.590
Co: 0.333 0.667 0.756
Co: 0.667 0.333 0.244
S: 0.000 0.000 0.500
S: 0.037 0.345 0.838
S: 0.308 0.963 0.838
S: 0.333 0.667 0.521
S: 0.345 0.308 0.162
S: 0.655 0.692 0.838
S: 0.667 0.333 0.479
S: 0.692 0.037 0.162
S: 0.963 0.655 0.162

Record 3
Below is crystalline Lu2Co12P7 at its relaxed geometry, with properties calculated at the PBE level.

Summary:
- Symmetry: P-6, No. 174

Cell lengths 8.962, 8.962, 3.561 Å; angles 90.00, 90.00, 120.00 degrees
Sites, in units of the cell vectors:
Lu: 0.000 0.000 0.000
Lu: 0.333 0.667 0.500
Co: 0.041 0.769 0.500
Co: 0.103 0.387 0.000
Co: 0.231 0.273 0.500
Co: 0.284 0.897 0.000
Co: 0.433 0.232 0.000
Co: 0.512 0.060 0.500
Co: 0.548 0.488 0.500
Co: 0.613 0.716 0.000
Co: 0.727 0.959 0.500
Co: 0.768 0.201 0.000
Co: 0.799 0.567 0.000
Co: 0.940 0.452 0.500
P: 0.071 0.624 0.000
P: 0.259 0.040 0.500
P: 0.376 0.447 0.000
P: 0.553 0.929 0.000
P: 0.667 0.333 0.500
P: 0.782 0.741 0.500
P: 0.960 0.218 0.500

Record 4
Below is crystalline PrMg at its relaxed geometry, with properties calculated at the PBE level.

Summary:
- Symmetry: Pm-3m, No. 221

Cell lengths 3.912, 3.912, 3.912 Å; angles 90.00, 90.00, 90.00 degrees
Sites, in units of the cell vectors:
Pr: 0.000 0.000 0.000
Mg: 0.500 0.500 0.500

Record 5
Below is crystalline Bi6B10O21 at its relaxed geometry, with properties calculated at the PBE level.

Summary:
- Symmetry: P-1, No. 2

Cell lengths 7.089, 7.162, 11.353 Å; angles 77.40, 86.38, 63.31 degrees
Sites, in units of the cell vectors:
Bi: 0.154 0.268 0.134
Bi: 0.211 0.001 0.942
Bi: 0.240 0.270 0.589
Bi: 0.760 0.730 0.411
Bi: 0.789 0.999 0.058
Bi: 0.846 0.732 0.866
B: 0.136 0.789 0.544
B: 0.171 0.675 0.273
B: 0.380 0.446 0.911
B: 0.421 0.821 0.226
B: 0.438 0.570 0.699
B: 0.562 0.430 0.301
B: 0.579 0.179 0.774
B: 0.620 0.554 0.089
B: 0.829 0.325 0.727
B: 0.864 0.211 0.456
O: 0.000 0.000 0.500
O: 0.036 0.297 0.740
O: 0.081 0.632 0.527
O: 0.202 0.857 0.250
O: 0.268 0.481 0.013
O: 0.320 0.748 0.601
O: 0.337 0.473 0.302
O: 0.339 0.615 0.814
O: 0.433 0.366 0.685
O: 0.450 0.005 0.229
O: 0.468 0.760 0.101
O: 0.532 0.240 0.899
O: 0.550 0.995 0.771
O: 0.567 0.634 0.315
O: 0.661 0.385 0.186
O: 0.663 0.527 0.698
O: 0.680 0.252 0.399
O: 0.732 0.519 0.987
O: 0.798 0.143 0.750
O: 0.919 0.368 0.473
O: 0.964 0.703 0.260

Record 6
Below is crystalline LaRe2Ag at its relaxed geometry, with properties calculated at the PBE level.

Summary:
- Symmetry: F-43m, No. 216

Cell lengths 4.784, 4.784, 4.784 Å; angles 60.00, 60.00, 60.00 degrees
Sites, in units of the cell vectors:
La: 0.000 0.000 0.000
Re: 0.250 0.250 0.250
Re: 0.500 0.500 0.500
Ag: 0.750 0.750 0.750

| no. | calculated formation energy (eV/atom) |
| --- | --- |
| 1 | 0.0997 |
| 2 | -1.3090 |
| 3 | -0.8119 |
| 4 | -0.1129 |
| 5 | -2.3030 |
| 6 | 0.7035 |